# 1
The following is a DFT calculation (GGA+U) of crystalline Sr3ZnCoO6 at its relaxed geometry.

```
Sr3ZnCoO6
1.0
1.054 3.394 5.540
4.723 6.089 -5.445
-7.837 5.539 -1.568
Sr Zn Co O
12 4 4 24
direct
0.616 0.568 0.682 Sr
0.614 0.067 0.183 Sr
0.882 0.430 0.184 Sr
0.883 0.929 0.682 Sr
0.253 0.751 0.131 Sr
0.254 0.254 0.638 Sr
0.118 0.570 0.816 Sr
0.117 0.071 0.318 Sr
0.747 0.249 0.869 Sr
0.746 0.746 0.362 Sr
0.384 0.432 0.318 Sr
0.386 0.933 0.817 Sr
0.252 0.252 0.010 Zn
0.255 0.744 0.494 Zn
0.748 0.748 0.990 Zn
0.745 0.256 0.506 Zn
0.500 0.000 0.500 Co
0.000 0.000 0.000 Co
0.500 0.500 0.000 Co
0.000 0.500 0.500 Co
0.531 0.314 0.106 O
0.529 0.818 0.599 O
0.225 0.491 0.070 O
0.236 0.996 0.569 O
0.393 0.373 0.843 O
0.390 0.871 0.337 O
0.031 0.800 0.906 O
0.033 0.303 0.414 O
0.920 0.393 0.669 O
0.927 0.900 0.162 O
0.711 0.476 0.443 O
0.716 0.974 0.945 O
0.469 0.686 0.894 O
0.471 0.182 0.401 O
0.775 0.509 0.930 O
0.764 0.004 0.431 O
0.607 0.627 0.157 O
0.610 0.129 0.663 O
0.969 0.200 0.094 O
0.967 0.697 0.586 O
0.080 0.607 0.331 O
0.073 0.100 0.838 O
0.289 0.524 0.557 O
0.284 0.026 0.055 O
```

Energy above the lowest structure with this stoichiometry = 62.4 meV per atom

# 2
The following is a DFT calculation (GGA+U) of crystalline Sr3ZnCoO6 at its relaxed geometry.

```
Sr3ZnCoO6
1.0
-3.978 -5.145 1.642
2.722 0.231 6.103
-9.348 9.033 3.099
Sr Zn Co O
12 4 4 24
direct
0.614 0.886 0.125 Sr
0.617 0.883 0.625 Sr
0.885 0.253 0.310 Sr
0.885 0.249 0.806 Sr
0.252 0.615 0.444 Sr
0.247 0.615 0.940 Sr
0.114 0.753 0.192 Sr
0.116 0.745 0.692 Sr
0.747 0.386 0.058 Sr
0.755 0.384 0.558 Sr
0.386 0.117 0.378 Sr
0.383 0.114 0.873 Sr
0.246 0.254 0.125 Zn
0.251 0.249 0.625 Zn
0.749 0.746 0.378 Zn
0.754 0.751 0.872 Zn
0.502 0.499 0.750 Co
0.002 0.998 0.500 Co
0.498 0.502 0.250 Co
0.998 0.002 0.000 Co
0.539 0.227 0.208 O
0.543 0.220 0.706 O
0.223 0.417 0.269 O
0.212 0.405 0.770 O
0.410 0.544 0.104 O
0.418 0.541 0.615 O
0.045 0.915 0.365 O
0.042 0.912 0.856 O
0.912 0.725 0.020 O
0.912 0.712 0.520 O
0.721 0.038 0.454 O
0.723 0.043 0.958 O
0.456 0.775 0.292 O
0.461 0.778 0.795 O
0.776 0.590 0.230 O
0.788 0.588 0.730 O
0.587 0.459 0.395 O
0.584 0.456 0.886 O
0.955 0.090 0.145 O
0.958 0.082 0.634 O
0.094 0.287 0.480 O
0.082 0.276 0.980 O
0.274 0.963 0.043 O
0.281 0.957 0.545 O
```

Energy above the lowest structure with this stoichiometry = 0.0 meV per atom

# 3
The following is a DFT calculation (GGA+U) of crystalline Ta2Co4O9 at its relaxed geometry.

```
Ta2Co4O9
1.0
5.198 0.000 0.000
0.001 8.942 0.000
0.002 0.001 14.564
Ta Co O
8 16 36
direct
0.000 0.024 0.855 Ta
0.998 0.977 0.645 Ta
0.501 0.475 0.354 Ta
0.499 0.525 0.146 Ta
0.499 0.524 0.645 Ta
0.500 0.476 0.855 Ta
0.999 0.025 0.355 Ta
0.999 0.974 0.146 Ta
0.000 0.336 0.692 Co
0.000 0.664 0.808 Co
0.996 0.663 0.501 Co
0.996 0.338 0.998 Co
0.503 0.163 0.498 Co
0.503 0.837 0.002 Co
0.501 0.835 0.312 Co
0.504 0.165 0.187 Co
0.500 0.836 0.808 Co
0.500 0.164 0.691 Co
0.497 0.162 0.999 Co
0.496 0.838 0.502 Co
0.003 0.337 0.498 Co
0.003 0.663 0.002 Co
0.004 0.663 0.313 Co
0.003 0.335 0.187 Co
0.854 0.146 0.251 O
0.855 0.854 0.250 O
0.836 0.168 0.927 O
0.836 0.832 0.573 O
0.829 0.493 0.587 O
0.829 0.507 0.913 O
0.827 0.159 0.596 O
0.827 0.840 0.904 O
0.785 0.500 0.250 O
0.717 0.000 0.750 O
0.670 0.338 0.098 O
0.670 0.662 0.403 O
0.673 0.993 0.414 O
0.673 0.006 0.086 O
0.665 0.332 0.427 O
0.664 0.668 0.073 O
0.644 0.353 0.750 O
0.645 0.646 0.750 O
0.354 0.646 0.249 O
0.354 0.354 0.251 O
0.336 0.669 0.573 O
0.337 0.332 0.927 O
0.329 0.007 0.587 O
0.329 0.994 0.913 O
0.326 0.341 0.596 O
0.327 0.660 0.904 O
0.286 0.001 0.250 O
0.217 0.500 0.750 O
0.170 0.162 0.098 O
0.170 0.839 0.403 O
0.173 0.493 0.086 O
0.173 0.507 0.413 O
0.165 0.168 0.427 O
0.165 0.832 0.073 O
0.144 0.146 0.750 O
0.145 0.854 0.750 O
```

Energy above the lowest structure with this stoichiometry = 5.3 meV per atom

# 4
The following is a DFT calculation (GGA+U) of crystalline Ta2Co4O9 at its relaxed geometry.

```
Ta2Co4O9
1.0
-3.043 -4.197 0.043
0.791 -0.481 8.917
-11.700 8.498 1.496
Ta Co O
8 16 36
direct
0.000 0.022 0.145 Ta
0.000 0.978 0.355 Ta
0.500 0.478 0.645 Ta
0.500 0.522 0.855 Ta
0.500 0.522 0.355 Ta
0.500 0.478 0.145 Ta
0.000 0.022 0.645 Ta
0.000 0.978 0.855 Ta
0.999 0.336 0.307 Co
0.999 0.664 0.193 Co
0.997 0.663 0.498 Co
0.997 0.337 0.002 Co
0.503 0.163 0.502 Co
0.503 0.837 0.998 Co
0.501 0.836 0.693 Co
0.501 0.164 0.807 Co
0.499 0.836 0.193 Co
0.499 0.164 0.307 Co
0.497 0.163 0.002 Co
0.497 0.837 0.498 Co
0.003 0.337 0.502 Co
0.003 0.663 0.998 Co
0.001 0.664 0.693 Co
0.001 0.336 0.807 Co
0.855 0.146 0.750 O
0.855 0.854 0.750 O
0.837 0.168 0.073 O
0.837 0.832 0.427 O
0.828 0.494 0.414 O
0.828 0.506 0.086 O
0.826 0.161 0.404 O
0.826 0.839 0.096 O
0.785 0.500 0.750 O
0.715 0.000 0.250 O
0.674 0.339 0.904 O
0.674 0.661 0.596 O
0.672 0.994 0.586 O
0.672 0.006 0.914 O
0.663 0.332 0.573 O
0.663 0.668 0.927 O
0.645 0.354 0.250 O
0.645 0.646 0.250 O
0.355 0.646 0.750 O
0.355 0.354 0.750 O
0.337 0.668 0.427 O
0.337 0.332 0.073 O
0.328 0.006 0.414 O
0.328 0.994 0.086 O
0.326 0.339 0.404 O
0.326 0.661 0.096 O
0.285 0.000 0.750 O
0.215 0.500 0.250 O
0.174 0.161 0.904 O
0.174 0.839 0.596 O
0.172 0.494 0.914 O
0.172 0.506 0.586 O
0.163 0.168 0.573 O
0.163 0.832 0.927 O
0.145 0.146 0.250 O
0.145 0.854 0.250 O
```

Energy above the lowest structure with this stoichiometry = 1.4 meV per atom

# 5
The following is a DFT calculation (GGA+U) of crystalline Ta2CoO6 at its relaxed geometry.

```
Ta2CoO6
1.0
4.805 0.000 0.000
0.000 -4.804 9.205
0.000 -9.611 -0.001
Ta Co O
8 4 24
direct
0.500 0.169 0.165 Ta
0.500 0.169 0.665 Ta
0.000 0.669 0.165 Ta
0.000 0.669 0.665 Ta
0.500 0.831 0.835 Ta
0.500 0.831 0.335 Ta
0.000 0.331 0.335 Ta
0.000 0.331 0.835 Ta
0.500 0.500 0.000 Co
0.000 0.000 0.500 Co
0.500 0.500 0.500 Co
0.000 0.000 0.000 Co
0.188 0.500 0.844 O
0.188 0.500 0.344 O
0.812 0.500 0.156 O
0.812 0.500 0.656 O
0.312 0.000 0.344 O
0.312 0.000 0.844 O
0.688 0.000 0.156 O
0.688 0.000 0.656 O
0.204 0.177 0.014 O
0.205 0.177 0.514 O
0.795 0.177 0.309 O
0.795 0.177 0.809 O
0.295 0.677 0.014 O
0.295 0.677 0.514 O
0.705 0.677 0.809 O
0.705 0.677 0.309 O
0.796 0.823 0.986 O
0.795 0.823 0.486 O
0.205 0.823 0.691 O
0.205 0.823 0.191 O
0.705 0.323 0.986 O
0.705 0.323 0.486 O
0.295 0.323 0.191 O
0.295 0.323 0.691 O
```

# 6
The following is a DFT calculation (GGA+U) of crystalline Ta2CoO7 at its relaxed geometry.

```
Ta2CoO7
1.0
-9.145 11.718 -6.128
-2.289 -4.360 -4.922
-9.397 -4.769 4.904
Ta Co O
16 8 56
direct
0.853 0.149 0.980 Ta
0.006 0.573 0.680 Ta
0.494 0.573 0.180 Ta
0.994 0.427 0.320 Ta
0.704 0.487 0.803 Ta
0.204 0.513 0.697 Ta
0.296 0.513 0.197 Ta
0.796 0.487 0.303 Ta
0.506 0.427 0.820 Ta
0.138 0.124 0.477 Ta
0.638 0.876 0.023 Ta
0.862 0.876 0.523 Ta
0.353 0.851 0.520 Ta
0.647 0.149 0.480 Ta
0.147 0.851 0.020 Ta
0.362 0.124 0.977 Ta
0.669 0.361 0.086 Co
0.169 0.639 0.414 Co
0.331 0.639 0.914 Co
0.831 0.361 0.586 Co
0.756 0.002 0.252 Co
0.256 0.998 0.248 Co
0.244 0.998 0.748 Co
0.744 0.002 0.752 Co
0.958 0.233 0.958 O
0.458 0.767 0.542 O
0.042 0.767 0.042 O
0.542 0.233 0.458 O
0.827 0.011 0.862 O
0.327 0.989 0.638 O
0.173 0.989 0.138 O
0.673 0.011 0.362 O
0.837 0.014 0.140 O
0.337 0.986 0.360 O
0.163 0.986 0.860 O
0.663 0.014 0.640 O
0.300 0.348 0.947 O
0.800 0.652 0.553 O
0.700 0.652 0.053 O
0.200 0.348 0.447 O
0.340 0.994 0.132 O
0.840 0.006 0.368 O
0.660 0.006 0.868 O
0.160 0.994 0.632 O
0.327 0.940 0.885 O
0.424 0.619 0.833 O
0.827 0.060 0.615 O
0.173 0.940 0.385 O
0.462 0.295 0.722 O
0.962 0.705 0.778 O
0.538 0.705 0.278 O
0.038 0.295 0.222 O
0.472 0.220 0.964 O
0.972 0.780 0.536 O
0.528 0.780 0.036 O
0.028 0.220 0.464 O
0.899 0.550 0.222 O
0.399 0.450 0.278 O
0.101 0.450 0.778 O
0.601 0.550 0.722 O
0.752 0.312 0.213 O
0.252 0.688 0.287 O
0.248 0.688 0.787 O
0.748 0.312 0.713 O
0.725 0.360 0.450 O
0.225 0.640 0.050 O
0.275 0.640 0.550 O
0.775 0.360 0.950 O
0.746 0.732 0.276 O
0.246 0.268 0.224 O
0.254 0.268 0.724 O
0.754 0.732 0.776 O
0.881 0.410 0.428 O
0.381 0.590 0.072 O
0.119 0.590 0.572 O
0.619 0.410 0.928 O
0.076 0.619 0.333 O
0.576 0.381 0.167 O
0.924 0.381 0.667 O
0.673 0.060 0.115 O
```

# 7
The following is a DFT calculation (GGA+U) of crystalline Ta2Co4O9 at its relaxed geometry.

```
Ta2Co4O9
1.0
2.604 -4.510 0.000
2.604 4.510 0.000
0.000 0.000 14.315
Ta Co O
4 8 18
direct
0.000 0.000 0.643 Ta
0.000 0.000 0.857 Ta
0.000 0.000 0.143 Ta
0.000 0.000 0.357 Ta
0.333 0.667 0.515 Co
0.333 0.667 0.808 Co
0.333 0.667 0.308 Co
0.333 0.667 0.015 Co
0.667 0.333 0.692 Co
0.667 0.333 0.192 Co
0.667 0.333 0.485 Co
0.667 0.333 0.985 Co
0.000 0.712 0.250 O
0.022 0.680 0.916 O
0.320 0.978 0.416 O
0.000 0.288 0.750 O
0.022 0.342 0.416 O
0.320 0.342 0.916 O
0.288 0.288 0.250 O
0.342 0.320 0.584 O
0.658 0.978 0.916 O
0.288 0.000 0.750 O
0.342 0.022 0.084 O
0.658 0.680 0.416 O
0.712 0.712 0.750 O
0.680 0.658 0.084 O
0.978 0.658 0.584 O
0.680 0.022 0.584 O
0.712 0.000 0.250 O
0.978 0.320 0.084 O
```

Energy above the lowest structure with this stoichiometry = 0.0 meV per atom

# 8
The following is a DFT calculation (GGA+U) of crystalline TaZn2CoO6 at its relaxed geometry.

```
TaZn2CoO6
1.0
-0.446 5.470 5.242
-5.118 -0.482 0.067
0.281 -3.629 3.810
Ta Zn Co O
2 4 2 12
direct
0.000 0.000 0.500 Ta
0.500 0.000 0.500 Ta
0.750 0.997 0.027 Zn
0.750 0.512 0.558 Zn
0.250 0.488 0.442 Zn
0.250 0.003 0.973 Zn
0.000 0.500 0.000 Co
0.500 0.500 0.000 Co
0.437 0.189 0.182 O
0.565 0.681 0.308 O
0.563 0.811 0.818 O
0.065 0.319 0.692 O
0.250 0.875 0.552 O
0.435 0.319 0.692 O
0.935 0.681 0.308 O
0.063 0.189 0.182 O
0.750 0.377 0.931 O
0.937 0.811 0.818 O
0.250 0.623 0.069 O
0.750 0.125 0.448 O
```

no.,formation energy from the elements (kJ/mol of formula units),E_tot (eV per atom)
1,-2473,-5.727
2,-2539,-5.789
3,-3240,-7.835
4,-3246,-7.839
5,-2530,-8.997
6,-2250,-8.233
7,-3248,-7.841
8,-1999,-6.613